# Mg2Al2SiO9

A geometry-optimized Mg2Al2SiO9 structure (PBE, the Materials Project).

abc: 5.4428 5.4844 13.7062
angles: 90.58 90.15 119.64
Fractional positions:
Al: 0.6546 0.3256 0.0346
Al: 0.3349 0.0231 0.2403
Al: 0.0115 0.6834 0.7392
Al: 0.9884 0.9892 0.5354
O: 0.0442 0.7048 0.3002
O: 0.7712 0.6758 0.0073
O: 0.9784 0.3612 0.7994
O: 0.6361 0.8802 0.5064
O: 0.7004 0.3689 0.6789
O: 0.3068 0.6679 0.6603
O: 0.3131 0.9800 0.8039
O: 0.6854 0.6447 0.8008
O: 0.3321 0.7105 0.1787
O: 0.6340 0.3150 0.1667
O: 0.8972 0.2169 0.0069
O: 0.0007 0.9764 0.6666
O: 0.2214 0.3370 0.5045
O: 0.0242 0.0078 0.1602
O: 0.3115 0.0942 0.9923
O: 0.0950 0.7533 0.4950
O: 0.3300 0.3201 0.3038
O: 0.6283 0.9896 0.3005
Mg: 0.6716 0.6662 0.2449
Mg: 0.6622 0.9869 0.7444
Mg: 0.9897 0.3301 0.2447
Mg: 0.3154 0.3250 0.7448
Si: 0.3150 0.6586 0.5366
Si: 0.0009 0.9964 0.0372

Summary:
Polymorph energy (0 for the lowest one) = 0.004 eV/atom
Energy relative to the elements = -35.7 eV/f.u.
Density = 2.57 Mg/m³

---

# NaCaAsO4

A geometry-optimized NaCaAsO4 structure (PBE, the Materials Project).

abc: 5.3176 6.7475 11.6332
angles: 90.00 90.00 90.00
Fractional positions:
Na: 0.5000 0.0000 0.0000
Na: 0.0000 0.0000 0.5000
Na: 0.0000 0.5000 0.5000
Na: 0.5000 0.5000 0.0000
As: 0.5678 0.2500 0.4020
As: 0.4322 0.7500 0.5980
As: 0.0678 0.7500 0.0980
As: 0.9322 0.2500 0.9020
O: 0.7541 0.7500 0.6044
O: 0.2459 0.2500 0.3956
O: 0.7949 0.4498 0.8315
O: 0.2051 0.9498 0.1685
O: 0.7459 0.7500 0.1044
O: 0.2949 0.9498 0.6685
O: 0.7051 0.4498 0.3315
O: 0.2541 0.2500 0.8956
O: 0.2051 0.5502 0.1685
O: 0.3148 0.7500 0.4601
O: 0.1852 0.7500 0.9601
O: 0.7051 0.0502 0.3315
O: 0.8148 0.2500 0.0399
O: 0.7949 0.0502 0.8315
O: 0.6852 0.2500 0.5399
O: 0.2949 0.5502 0.6685
Ca: 0.4943 0.2500 0.7194
Ca: 0.9943 0.7500 0.7806
Ca: 0.0057 0.2500 0.2194
Ca: 0.5057 0.7500 0.2806

Summary:
Polymorph energy (0 for the lowest one) = 0.000 eV/atom
Energy relative to the elements = -17.5 eV/f.u.
Density = 3.21 Mg/m³